[1]
Density functional theory data (GGA-PBE) for crystalline Rb2PuO4 at its relaxed geometry.

Lattice parameters (Å, degrees): 4.367 4.367 14.137 90.00 90.00 90.00
Space group I4/mmm (No. 139)
One atom of each set of equivalent atoms:
Rb (0.000, 0.000, 0.150) [4 per cell]
Pu (0.000, 0.000, 0.500) [2 per cell]
O (0.000, 0.000, 0.364) [4 per cell]
O (0.000, 0.500, 0.000) [4 per cell]

calculated formation energy: -2.72 eV per atom



[2]
Density functional theory data (GGA-PBE) for crystalline PrTe at its relaxed geometry.

Lattice parameters (Å, degrees): 6.416 6.416 6.416 90.00 90.00 90.00
Space group Fm-3m (No. 225)
One atom of each set of equivalent atoms:
Pr (0.000, 0.000, 0.000) [4 per cell]
Te (0.000, 0.000, 0.500) [4 per cell]

calculated formation energy: -1.65 eV per atom



[3]
Density functional theory data (GGA-PBE) for crystalline K12In2Se9 at its relaxed geometry.

Lattice parameters (Å, degrees): 12.884 17.268 14.728 90.00 103.32 90.00
Space group P2_1/c (No. 14)
One atom of each set of equivalent atoms:
K (0.022, 0.053, 0.125) [4 per cell]
K (0.044, 0.729, 0.533) [4 per cell]
K (0.093, 0.072, 0.463) [4 per cell]
K (0.154, 0.245, 0.784) [4 per cell]
K (0.167, 0.603, 0.809) [4 per cell]
K (0.276, 0.053, 0.938) [4 per cell]
K (0.313, 0.105, 0.683) [4 per cell]
K (0.320, 0.747, 0.686) [4 per cell]
K (0.326, 0.685, 0.446) [4 per cell]
K (0.411, 0.185, 0.204) [4 per cell]
K (0.412, 0.553, 0.053) [4 per cell]
K (0.413, 0.538, 0.706) [4 per cell]
In (0.176, 0.583, 0.209) [4 per cell]
In (0.378, 0.202, 0.473) [4 per cell]
Se (0.086, 0.050, 0.730) [4 per cell]
Se (0.095, 0.704, 0.275) [4 per cell]
Se (0.168, 0.611, 0.033) [4 per cell]
Se (0.190, 0.578, 0.576) [4 per cell]
Se (0.213, 0.245, 0.037) [4 per cell]
Se (0.308, 0.084, 0.361) [4 per cell]
Se (0.382, 0.570, 0.286) [4 per cell]
Se (0.444, 0.188, 0.878) [4 per cell]
Se (0.467, 0.659, 0.885) [4 per cell]

magnetic moment: 0.0035 μB/atom
calculated formation energy: -1.26 eV per atom



[4]
Density functional theory data (GGA-PBE) for crystalline La3Ga2Ni4 at its relaxed geometry.

Lattice parameters (Å, degrees): 10.229 4.233 8.331 90.00 98.81 90.00
Space group C2/m (No. 12)
One atom of each set of equivalent atoms:
La (0.000, 0.000, 0.000) [2 per cell]
La (0.124, 0.500, 0.380) [4 per cell]
Ga (0.179, 0.500, 0.786) [4 per cell]
Ni (0.085, 0.000, 0.639) [4 per cell]
Ni (0.240, 0.500, 0.085) [4 per cell]

calculated formation energy: -0.50 eV per atom



[5]
Density functional theory data (GGA-PBE) for crystalline Na6Zr8Si7S5O48 at its relaxed geometry.

Lattice parameters (Å, degrees): 9.061 15.781 23.504 89.94 89.87 89.94
Space group P1 (No. 1)
One atom of each set of equivalent atoms:
Na (0.000, 0.000, 0.000) [1 per cell]
Na (0.000, 0.659, 0.834) [1 per cell]
Na (0.004, 0.659, 0.344) [1 per cell]
Na (0.005, 0.313, 0.680) [1 per cell]
Na (0.014, 0.995, 0.516) [1 per cell]
Na (0.015, 0.313, 0.174) [1 per cell]
Na (0.138, 0.491, 0.760) [1 per cell]
Na (0.157, 0.828, 0.425) [1 per cell]
Na (0.358, 0.326, 0.921) [1 per cell]
Na (0.377, 0.992, 0.263) [1 per cell]
Na (0.487, 0.493, 0.011) [1 per cell]
Na (0.501, 0.822, 0.667) [1 per cell]
Na (0.508, 0.816, 0.183) [1 per cell]
Na (0.509, 0.158, 0.340) [1 per cell]
Na (0.510, 0.160, 0.835) [1 per cell]
Na (0.512, 0.500, 0.503) [1 per cell]
Na (0.659, 0.994, 0.751) [1 per cell]
Na (0.852, 0.493, 0.260) [1 per cell]
Zr (0.000, 0.325, 0.321) [1 per cell]
Zr (0.002, 0.995, 0.161) [1 per cell]
Zr (0.004, 0.667, 0.698) [1 per cell]
Zr (0.007, 0.326, 0.528) [1 per cell]
Zr (0.008, 0.994, 0.356) [1 per cell]
Zr (0.012, 0.658, 0.487) [1 per cell]
Zr (0.013, 0.323, 0.818) [1 per cell]
Zr (0.014, 0.667, 0.195) [1 per cell]
Zr (0.021, 0.653, 0.987) [1 per cell]
Zr (0.025, 0.322, 0.025) [1 per cell]
Zr (0.488, 0.828, 0.528) [1 per cell]
Zr (0.496, 0.148, 0.489) [1 per cell]
Zr (0.500, 0.823, 0.319) [1 per cell]
Zr (0.501, 0.158, 0.986) [1 per cell]
Zr (0.502, 0.160, 0.691) [1 per cell]
Zr (0.503, 0.493, 0.855) [1 per cell]
Zr (0.506, 0.167, 0.198) [1 per cell]
Zr (0.506, 0.826, 0.028) [1 per cell]
Zr (0.507, 0.493, 0.153) [1 per cell]
Zr (0.510, 0.494, 0.661) [1 per cell]
Zr (0.513, 0.827, 0.819) [1 per cell]
Zr (0.524, 0.496, 0.363) [1 per cell]
Zr (0.988, 0.996, 0.861) [1 per cell]
Zr (0.995, 0.994, 0.649) [1 per cell]
Si (0.149, 0.804, 0.590) [1 per cell]
Si (0.150, 0.141, 0.257) [1 per cell]
Si (0.151, 0.176, 0.923) [1 per cell]
Si (0.151, 0.847, 0.258) [1 per cell]
Si (0.155, 0.472, 0.922) [1 per cell]
Si (0.211, 0.160, 0.591) [1 per cell]
Si (0.303, 0.659, 0.091) [1 per cell]
Si (0.357, 0.973, 0.421) [1 per cell]
Si (0.361, 0.641, 0.757) [1 per cell]
Si (0.363, 0.304, 0.090) [1 per cell]
Si (0.364, 0.678, 0.425) [1 per cell]
Si (0.365, 0.343, 0.758) [1 per cell]
Si (0.648, 0.010, 0.592) [1 per cell]
Si (0.648, 0.350, 0.258) [1 per cell]
Si (0.650, 0.971, 0.925) [1 per cell]
Si (0.652, 0.638, 0.255) [1 per cell]
Si (0.712, 0.991, 0.258) [1 per cell]
Si (0.800, 0.491, 0.758) [1 per cell]
Si (0.858, 0.138, 0.756) [1 per cell]
Si (0.864, 0.471, 0.424) [1 per cell]
Si (0.866, 0.850, 0.759) [1 per cell]
S (0.154, 0.512, 0.591) [1 per cell]
S (0.215, 0.492, 0.257) [1 per cell]
S (0.216, 0.825, 0.925) [1 per cell]
S (0.295, 0.992, 0.758) [1 per cell]
S (0.297, 0.325, 0.424) [1 per cell]
S (0.358, 0.012, 0.091) [1 per cell]
S (0.650, 0.306, 0.588) [1 per cell]
S (0.652, 0.680, 0.926) [1 per cell]
S (0.715, 0.657, 0.590) [1 per cell]
S (0.716, 0.327, 0.926) [1 per cell]
S (0.796, 0.826, 0.425) [1 per cell]
S (0.797, 0.158, 0.090) [1 per cell]
S (0.859, 0.181, 0.425) [1 per cell]
S (0.862, 0.513, 0.090) [1 per cell]
S (0.862, 0.805, 0.089) [1 per cell]
O (0.076, 0.097, 0.200) [1 per cell]
O (0.077, 0.753, 0.252) [1 per cell]
O (0.079, 0.221, 0.980) [1 per cell]
O (0.079, 0.567, 0.931) [1 per cell]
O (0.079, 0.897, 0.597) [1 per cell]
O (0.082, 0.758, 0.532) [1 per cell]
O (0.082, 0.888, 0.316) [1 per cell]
O (0.083, 0.235, 0.265) [1 per cell]
O (0.087, 0.426, 0.583) [1 per cell]
O (0.088, 0.081, 0.918) [1 per cell]
O (0.088, 0.430, 0.864) [1 per cell]
O (0.092, 0.548, 0.643) [1 per cell]
O (0.106, 0.245, 0.583) [1 per cell]
O (0.109, 0.742, 0.644) [1 per cell]
O (0.112, 0.566, 0.250) [1 per cell]
O (0.113, 0.076, 0.596) [1 per cell]
O (0.116, 0.749, 0.932) [1 per cell]
O (0.117, 0.411, 0.977) [1 per cell]
O (0.117, 0.415, 0.263) [1 per cell]
O (0.117, 0.907, 0.203) [1 per cell]
O (0.118, 0.565, 0.540) [1 per cell]
O (0.123, 0.079, 0.312) [1 per cell]
O (0.124, 0.241, 0.870) [1 per cell]
O (0.127, 0.902, 0.921) [1 per cell]
O (0.175, 0.978, 0.418) [1 per cell]
O (0.180, 0.314, 0.086) [1 per cell]
O (0.180, 0.676, 0.431) [1 per cell]
O (0.181, 0.642, 0.750) [1 per cell]
O (0.184, 0.341, 0.761) [1 per cell]
O (0.192, 0.671, 0.146) [1 per cell]
O (0.193, 0.649, 0.035) [1 per cell]
O (0.195, 0.003, 0.093) [1 per cell]
O (0.201, 0.333, 0.475) [1 per cell]
O (0.202, 0.312, 0.373) [1 per cell]
O (0.206, 0.002, 0.810) [1 per cell]
O (0.208, 0.980, 0.707) [1 per cell]
O (0.303, 0.505, 0.308) [1 per cell]
O (0.305, 0.479, 0.205) [1 per cell]
O (0.306, 0.810, 0.874) [1 per cell]
O (0.311, 0.832, 0.976) [1 per cell]
O (0.317, 0.152, 0.534) [1 per cell]
O (0.317, 0.177, 0.646) [1 per cell]
O (0.317, 0.503, 0.593) [1 per cell]
O (0.330, 0.142, 0.250) [1 per cell]
O (0.330, 0.809, 0.586) [1 per cell]
O (0.330, 0.841, 0.261) [1 per cell]
O (0.333, 0.175, 0.931) [1 per cell]
O (0.336, 0.477, 0.921) [1 per cell]
O (0.383, 0.404, 0.419) [1 per cell]
O (0.387, 0.579, 0.812) [1 per cell]
O (0.389, 0.740, 0.369) [1 per cell]
O (0.390, 0.911, 0.476) [1 per cell]
O (0.394, 0.066, 0.040) [1 per cell]
O (0.395, 0.251, 0.429) [1 per cell]
O (0.395, 0.916, 0.764) [1 per cell]
O (0.396, 0.067, 0.754) [1 per cell]
O (0.396, 0.407, 0.703) [1 per cell]
O (0.399, 0.243, 0.144) [1 per cell]
O (0.404, 0.745, 0.083) [1 per cell]
O (0.405, 0.575, 0.095) [1 per cell]
O (0.420, 0.048, 0.143) [1 per cell]
O (0.424, 0.582, 0.417) [1 per cell]
O (0.424, 0.930, 0.363) [1 per cell]
O (0.425, 0.926, 0.083) [1 per cell]
O (0.427, 0.259, 0.032) [1 per cell]
O (0.429, 0.734, 0.767) [1 per cell]
O (0.430, 0.388, 0.816) [1 per cell]
O (0.431, 0.068, 0.427) [1 per cell]
O (0.435, 0.596, 0.701) [1 per cell]
O (0.436, 0.723, 0.480) [1 per cell]
O (0.437, 0.250, 0.752) [1 per cell]
O (0.437, 0.398, 0.097) [1 per cell]
O (0.575, 0.393, 0.314) [1 per cell]
O (0.578, 0.592, 0.200) [1 per cell]
O (0.578, 0.915, 0.584) [1 per cell]
O (0.579, 0.926, 0.868) [1 per cell]
O (0.581, 0.055, 0.649) [1 per cell]
O (0.581, 0.065, 0.934) [1 per cell]
O (0.583, 0.392, 0.594) [1 per cell]
O (0.586, 0.254, 0.252) [1 per cell]
O (0.586, 0.595, 0.921) [1 per cell]
O (0.586, 0.722, 0.977) [1 per cell]
O (0.587, 0.732, 0.264) [1 per cell]
O (0.590, 0.265, 0.537) [1 per cell]
O (0.603, 0.073, 0.248) [1 per cell]
O (0.606, 0.909, 0.263) [1 per cell]
O (0.608, 0.910, 0.979) [1 per cell]
O (0.611, 0.071, 0.536) [1 per cell]
O (0.617, 0.402, 0.922) [1 per cell]
O (0.618, 0.250, 0.931) [1 per cell]
O (0.619, 0.579, 0.594) [1 per cell]
O (0.622, 0.732, 0.874) [1 per cell]
O (0.624, 0.255, 0.640) [1 per cell]
O (0.624, 0.733, 0.585) [1 per cell]
O (0.625, 0.410, 0.203) [1 per cell]
O (0.631, 0.576, 0.311) [1 per cell]
O (0.677, 0.141, 0.750) [1 per cell]
O (0.683, 0.477, 0.421) [1 per cell]
O (0.683, 0.843, 0.767) [1 per cell]
O (0.695, 0.479, 0.702) [1 per cell]
O (0.696, 0.507, 0.814) [1 per cell]
O (0.697, 0.177, 0.429) [1 per cell]
O (0.698, 0.813, 0.084) [1 per cell]
O (0.699, 0.507, 0.093) [1 per cell]
O (0.704, 0.147, 0.039) [1 per cell]
O (0.706, 0.165, 0.142) [1 per cell]
O (0.706, 0.835, 0.476) [1 per cell]
O (0.707, 0.815, 0.373) [1 per cell]
O (0.806, 0.315, 0.874) [1 per cell]
O (0.807, 0.336, 0.978) [1 per cell]
O (0.807, 0.663, 0.642) [1 per cell]
O (0.810, 0.645, 0.539) [1 per cell]
O (0.814, 0.315, 0.583) [1 per cell]
O (0.815, 0.675, 0.932) [1 per cell]
O (0.816, 0.007, 0.313) [1 per cell]
O (0.817, 0.979, 0.201) [1 per cell]
O (0.828, 0.004, 0.593) [1 per cell]
O (0.831, 0.976, 0.922) [1 per cell]
O (0.832, 0.344, 0.266) [1 per cell]
O (0.834, 0.638, 0.246) [1 per cell]
O (0.884, 0.077, 0.812) [1 per cell]
O (0.887, 0.910, 0.704) [1 per cell]
O (0.888, 0.236, 0.085) [1 per cell]
O (0.888, 0.754, 0.141) [1 per cell]
O (0.895, 0.232, 0.373) [1 per cell]
O (0.896, 0.082, 0.093) [1 per cell]
O (0.896, 0.567, 0.040) [1 per cell]
O (0.896, 0.749, 0.429) [1 per cell]
O (0.896, 0.901, 0.420) [1 per cell]
O (0.906, 0.409, 0.764) [1 per cell]
O (0.906, 0.410, 0.478) [1 per cell]
O (0.909, 0.572, 0.749) [1 per cell]
O (0.921, 0.761, 0.038) [1 per cell]
O (0.923, 0.552, 0.143) [1 per cell]
O (0.924, 0.222, 0.476) [1 per cell]
O (0.925, 0.096, 0.420) [1 per cell]
O (0.926, 0.232, 0.765) [1 per cell]
O (0.927, 0.428, 0.084) [1 per cell]
O (0.928, 0.753, 0.753) [1 per cell]
O (0.930, 0.890, 0.093) [1 per cell]
O (0.932, 0.428, 0.366) [1 per cell]
O (0.933, 0.093, 0.701) [1 per cell]
O (0.934, 0.566, 0.432) [1 per cell]
O (0.937, 0.891, 0.816) [1 per cell]

magnetic moment: 0.0000 μB/atom
calculated formation energy: -2.94 eV per atom



> Among the records above, which one has the highest calculated formation energy?

La3Ga2Ni4